Entry 1:
Entry from the Materials Project: a relaxed Li6FeO5F crystal (PBE with a Hubbard U).

POSCAR file:
```
Li6FeO5F
1.0
5.4997 0.0000 0.0000
2.5541 4.8842 0.0000
2.4641 1.6208 4.7235
Li Fe O F
6 1 5 1
Direct
0.0000 0.0000 0.0000 Li
0.0134 0.8412 0.5204 Li
0.2056 0.3955 0.3133 Li
0.4113 0.2200 0.7547 Li
0.5682 0.6277 0.7269 Li
0.7687 0.4084 0.1761 Li
0.5217 0.9080 0.2132 Fe
0.1560 0.1308 0.1609 O
0.4077 0.5799 0.4499 O
0.5997 0.2577 0.0430 O
0.7024 0.8112 0.8896 O
0.8450 0.7197 0.3448 O
0.2643 0.0345 0.6406 F
```

Summary:
- Corrected total energy (MP2020 scheme): -5.587 eV per atom
- Formation energy from the elements: -193 kJ per mole of atoms
- Symmetry: No. 1
- Energy: -66.483 eV/cell
- Crystal system: triclinic

=====

Entry 2:
Entry from the Materials Project: a relaxed LiTiFeO4 crystal (PBE with a Hubbard U).

POSCAR file:
```
LiTiFeO4
1.0
-2.9885 -2.9260 4.2574
3.0738 3.0095 4.1694
-5.9384 6.0654 0.0000
O Ti Li Fe
16 4 4 4
Direct
0.7515 0.7173 0.4946 O
0.2485 0.2827 0.5054 O
0.0162 0.4989 0.7319 O
0.9838 0.5011 0.2681 O
0.9838 0.0011 0.2319 O
0.5162 0.9989 0.2319 O
0.7515 0.2173 0.0054 O
0.2515 0.7173 0.5054 O
0.2485 0.7827 0.9946 O
0.7485 0.2827 0.4946 O
0.0162 0.9989 0.7681 O
0.4838 0.5011 0.7319 O
0.4838 0.0011 0.7681 O
0.2515 0.2173 0.9946 O
0.7485 0.7827 0.0054 O
0.5162 0.4989 0.2681 O
0.5000 0.0000 0.0000 Ti
0.0000 0.5000 0.5000 Ti
0.5000 0.5000 0.5000 Ti
0.0000 0.0000 0.0000 Ti
0.2500 0.7500 0.2500 Li
0.2500 0.2500 0.2500 Li
0.7500 0.2500 0.7500 Li
0.7500 0.7500 0.7500 Li
0.2500 0.2500 0.7500 Fe
0.7500 0.2500 0.2500 Fe
0.7500 0.7500 0.2500 Fe
0.2500 0.7500 0.7500 Fe
```

Summary:
- Corrected total energy (MP2020 scheme): -7.981 eV per atom
- Formation energy from the elements: -245 kJ per mole of atoms
- Energy: -203.464 eV/cell